1.
! Nd6Nb4Al43 | the Materials Project | GGA-PBE | optimized geometry; values from VASP
&SYSTEM
  ibrav = 0, nat = 106, ntyp = 3
/
ATOMIC_SPECIES
Nd 144.24 Nd.upf
Nb 92.91 Nb.upf
Al 26.98 Al.upf
ATOMIC_POSITIONS crystal
Nd 0.529 0.000 0.596
Nd 0.471 0.000 0.404
Nd 0.000 0.529 0.596
Nd 0.471 0.000 0.096
Nd 0.000 0.529 0.904
Nd 0.000 0.471 0.404
Nd 0.529 0.000 0.904
Nd 0.000 0.471 0.096
Nd 0.471 0.471 0.596
Nd 0.529 0.529 0.404
Nd 0.529 0.529 0.096
Nd 0.471 0.471 0.904
Nb 0.000 0.000 0.500
Nb 0.000 0.000 0.000
Nb 0.728 0.000 0.750
Nb 0.272 0.000 0.250
Nb 0.000 0.728 0.750
Nb 0.000 0.272 0.250
Nb 0.272 0.272 0.750
Nb 0.728 0.728 0.250
Al 0.150 0.596 0.750
Al 0.850 0.404 0.250
Al 0.404 0.554 0.750
Al 0.596 0.150 0.750
Al 0.596 0.446 0.250
Al 0.404 0.850 0.250
Al 0.446 0.850 0.750
Al 0.554 0.404 0.750
Al 0.554 0.150 0.250
Al 0.446 0.596 0.250
Al 0.850 0.446 0.750
Al 0.150 0.554 0.250
Al 0.158 0.000 0.116
Al 0.842 0.000 0.884
Al 0.000 0.158 0.116
Al 0.842 0.000 0.616
Al 0.000 0.158 0.384
Al 0.000 0.842 0.884
Al 0.158 0.000 0.384
Al 0.000 0.842 0.616
Al 0.842 0.842 0.116
Al 0.158 0.158 0.884
Al 0.158 0.158 0.616
Al 0.842 0.842 0.384
Al 0.247 0.495 0.500
Al 0.753 0.505 0.500
Al 0.505 0.753 0.500
Al 0.753 0.505 0.000
Al 0.495 0.247 0.000
Al 0.495 0.247 0.500
Al 0.247 0.495 0.000
Al 0.505 0.753 0.000
Al 0.247 0.753 0.500
Al 0.753 0.247 0.500
Al 0.753 0.247 0.000
Al 0.247 0.753 0.000
Al 0.146 0.000 0.750
Al 0.854 0.000 0.250
Al 0.000 0.146 0.750
Al 0.000 0.854 0.250
Al 0.854 0.854 0.750
Al 0.146 0.146 0.250
Al 0.333 0.667 0.627
Al 0.667 0.333 0.373
Al 0.667 0.333 0.127
Al 0.667 0.333 0.873
Al 0.333 0.667 0.873
Al 0.333 0.667 0.127
Al 0.333 0.667 0.373
Al 0.667 0.333 0.627
Al 0.254 0.000 0.530
Al 0.746 0.000 0.470
Al 0.000 0.254 0.530
Al 0.746 0.000 0.030
Al 0.000 0.254 0.970
Al 0.000 0.746 0.470
Al 0.254 0.000 0.970
Al 0.000 0.746 0.030
Al 0.746 0.746 0.530
Al 0.254 0.254 0.470
Al 0.254 0.254 0.030
Al 0.746 0.746 0.970
Al 0.157 0.394 0.665
Al 0.843 0.606 0.335
Al 0.606 0.763 0.665
Al 0.843 0.606 0.165
Al 0.394 0.157 0.835
Al 0.394 0.237 0.335
Al 0.157 0.394 0.835
Al 0.606 0.843 0.165
Al 0.237 0.843 0.665
Al 0.394 0.237 0.165
Al 0.763 0.606 0.835
Al 0.763 0.157 0.335
Al 0.606 0.763 0.835
Al 0.237 0.394 0.165
Al 0.606 0.843 0.335
Al 0.394 0.157 0.665
Al 0.763 0.157 0.165
Al 0.237 0.394 0.335
Al 0.237 0.843 0.835
Al 0.763 0.606 0.665
Al 0.843 0.237 0.835
Al 0.157 0.763 0.165
Al 0.157 0.763 0.335
Al 0.843 0.237 0.665
CELL_PARAMETERS angstrom
5.607 -9.712 0.000
5.607 9.712 0.000
0.000 0.000 17.957
! - Calculated formation energy: -0.330 eV per atom
! - Space-group type: P6_3/mcm, No. 193

2.
! Sr4NdNb2Al3O15 | the Materials Project | GGA-PBE | optimized geometry; values from VASP
&SYSTEM
  ibrav = 0, nat = 50, ntyp = 5
/
ATOMIC_SPECIES
Sr 87.62 Sr.upf
Nd 144.24 Nd.upf
Nb 92.91 Nb.upf
Al 26.98 Al.upf
O 16.00 O.upf
ATOMIC_POSITIONS crystal
Sr 0.048 0.048 0.048
Sr 0.450 0.450 0.450
Sr 0.750 0.750 0.750
Sr 0.850 0.850 0.850
Sr 0.150 0.150 0.150
Sr 0.250 0.250 0.250
Sr 0.550 0.550 0.550
Sr 0.952 0.952 0.952
Nd 0.652 0.652 0.652
Nd 0.348 0.348 0.348
Nb 0.400 0.400 0.400
Nb 0.800 0.800 0.800
Nb 0.200 0.200 0.200
Nb 0.600 0.600 0.600
Al 0.699 0.699 0.699
Al 0.100 0.100 0.100
Al 0.500 0.500 0.500
Al 0.900 0.900 0.900
Al 0.301 0.301 0.301
Al 0.000 0.000 0.000
O 0.247 0.247 0.756
O 0.551 0.043 0.551
O 0.043 0.551 0.551
O 0.756 0.247 0.247
O 0.953 0.442 0.953
O 0.647 0.647 0.158
O 0.247 0.756 0.247
O 0.551 0.551 0.043
O 0.442 0.953 0.953
O 0.158 0.647 0.647
O 0.353 0.842 0.353
O 0.047 0.047 0.558
O 0.953 0.953 0.442
O 0.647 0.158 0.647
O 0.842 0.353 0.353
O 0.558 0.047 0.047
O 0.753 0.244 0.753
O 0.449 0.449 0.957
O 0.353 0.353 0.842
O 0.047 0.558 0.047
O 0.244 0.753 0.753
O 0.957 0.449 0.449
O 0.155 0.645 0.155
O 0.845 0.845 0.355
O 0.449 0.957 0.449
O 0.753 0.753 0.244
O 0.645 0.155 0.155
O 0.355 0.845 0.845
O 0.155 0.155 0.645
O 0.845 0.355 0.845
CELL_PARAMETERS angstrom
-7.884 -20.577 -6.014
-2.847 -21.118 -8.227
-3.675 -22.357 -2.903
! - Calculated formation energy: -3.411 eV per atom
! - Space-group type: R-3m, No. 166

3.
! NbAl2Ni9 | the Materials Project | GGA-PBE | optimized geometry; values from VASP
&SYSTEM
  ibrav = 0, nat = 12, ntyp = 3
/
ATOMIC_SPECIES
Nb 92.91 Nb.upf
Al 26.98 Al.upf
Ni 58.69 Ni.upf
ATOMIC_POSITIONS crystal
Nb 0.000 0.000 0.000
Al 0.000 0.000 0.340
Al 0.000 0.000 0.660
Ni 0.500 0.500 0.000
Ni 0.500 0.500 0.337
Ni 0.500 0.500 0.663
Ni 0.500 0.000 0.173
Ni 0.500 0.000 0.500
Ni 0.500 0.000 0.827
Ni 0.000 0.500 0.173
Ni 0.000 0.500 0.500
Ni 0.000 0.500 0.827
CELL_PARAMETERS angstrom
-0.735 2.623 2.383
1.172 -2.117 2.692
9.851 3.882 -1.237
! - Calculated formation energy: -0.409 eV per atom
! - Space-group type: P4/mmm, No. 123

4.
! NbAlNi | the Materials Project | GGA-PBE | optimized geometry; values from VASP
&SYSTEM
  ibrav = 0, nat = 12, ntyp = 3
/
ATOMIC_SPECIES
Nb 92.91 Nb.upf
Al 26.98 Al.upf
Ni 58.69 Ni.upf
ATOMIC_POSITIONS crystal
Nb 0.334 0.334 0.551
Nb 0.663 0.663 0.429
Nb 0.663 0.663 0.071
Nb 0.334 0.334 0.949
Al 0.992 0.992 0.487
Al 0.992 0.992 0.013
Al 0.834 0.350 0.750
Al 0.350 0.834 0.750
Ni 0.839 0.839 0.750
Ni 0.174 0.653 0.250
Ni 0.653 0.174 0.250
Ni 0.171 0.171 0.250
CELL_PARAMETERS angstrom
-2.420 -4.299 0.000
-4.934 0.054 0.000
0.000 0.000 -7.994
! - Calculated formation energy: -0.428 eV per atom
! - Space-group type: Amm2, No. 38

5.
! NbAlO4 | the Materials Project | GGA-PBE | optimized geometry; values from VASP
&SYSTEM
  ibrav = 0, nat = 24, ntyp = 3
/
ATOMIC_SPECIES
Nb 92.91 Nb.upf
Al 26.98 Al.upf
O 16.00 O.upf
ATOMIC_POSITIONS crystal
Nb 0.802 0.506 0.115
Nb 0.103 0.402 0.615
Nb 0.193 0.991 0.383
Nb 0.892 0.096 0.883
Al 0.094 0.900 0.092
Al 0.801 0.986 0.595
Al 0.901 0.597 0.405
Al 0.194 0.511 0.903
O 0.134 0.967 0.240
O 0.739 0.943 0.427
O 0.630 0.832 0.097
O 0.365 0.665 0.401
O 0.256 0.554 0.071
O 0.056 0.820 0.937
O 0.938 0.677 0.561
O 0.861 0.530 0.257
O 0.130 0.493 0.758
O 0.057 0.311 0.432
O 0.937 0.186 0.066
O 0.730 0.455 0.919
O 0.646 0.305 0.603
O 0.349 0.192 0.895
O 0.265 0.042 0.578
O 0.865 0.004 0.740
CELL_PARAMETERS angstrom
1.353 -3.414 -0.989
6.379 0.287 0.413
-3.461 -2.789 12.210
! - Calculated formation energy: -3.189 eV per atom
! - Space-group type: P-1, No. 2

6.
! NbAlO4 | the Materials Project | GGA-PBE | optimized geometry; values from VASP
&SYSTEM
  ibrav = 0, nat = 24, ntyp = 3
/
ATOMIC_SPECIES
Nb 92.91 Nb.upf
Al 26.98 Al.upf
O 16.00 O.upf
ATOMIC_POSITIONS crystal
Nb 0.190 0.190 0.366
Nb 0.892 0.892 0.865
Nb 0.810 0.810 0.634
Nb 0.108 0.108 0.135
Al 0.898 0.898 0.344
Al 0.194 0.194 0.847
Al 0.102 0.102 0.656
Al 0.806 0.806 0.153
O 0.862 0.862 0.492
O 0.258 0.258 0.677
O 0.362 0.362 0.349
O 0.638 0.638 0.651
O 0.742 0.742 0.323
O 0.937 0.937 0.189
O 0.063 0.063 0.811
O 0.129 0.129 0.509
O 0.862 0.862 0.009
O 0.939 0.939 0.683
O 0.061 0.061 0.317
O 0.265 0.265 0.171
O 0.350 0.350 0.852
O 0.650 0.650 0.148
O 0.735 0.735 0.829
O 0.138 0.138 0.991
CELL_PARAMETERS angstrom
1.902 6.107 0.000
-1.902 6.107 0.000
0.000 3.840 12.646
! - Calculated formation energy: -3.175 eV per atom
! - Space-group type: Cm, No. 8

7.
! NbAlO4 | the Materials Project | GGA-PBE | optimized geometry; values from VASP
&SYSTEM
  ibrav = 0, nat = 12, ntyp = 3
/
ATOMIC_SPECIES
Nb 92.91 Nb.upf
Al 26.98 Al.upf
O 16.00 O.upf
ATOMIC_POSITIONS crystal
Nb 0.191 0.618 0.246
Nb 0.809 0.382 0.754
Al 0.901 0.197 0.183
Al 0.099 0.803 0.817
O 0.736 0.528 0.171
O 0.264 0.472 0.829
O 0.366 0.268 0.196
O 0.634 0.732 0.804
O 0.062 0.876 0.122
O 0.938 0.124 0.878
O 0.872 0.257 0.475
O 0.128 0.743 0.525
CELL_PARAMETERS angstrom
2.670 0.352 -2.700
5.232 -2.785 2.119
-3.082 -4.665 -3.656
! - Calculated formation energy: -3.179 eV per atom
! - Space-group type: C2/m, No. 12

8.
! NbAlO4 | the Materials Project | GGA-PBE | optimized geometry; values from VASP
&SYSTEM
  ibrav = 0, nat = 72, ntyp = 3
/
ATOMIC_SPECIES
Nb 92.91 Nb.upf
Al 26.98 Al.upf
O 16.00 O.upf
ATOMIC_POSITIONS crystal
Nb 0.103 0.210 0.289
Nb 0.099 0.208 0.456
Nb 0.099 0.208 0.623
Nb 0.099 0.208 0.790
Nb 0.099 0.208 0.956
Nb 0.195 0.392 0.212
Nb 0.805 0.608 0.121
Nb 0.901 0.792 0.378
Nb 0.901 0.792 0.710
Nb 0.897 0.790 0.044
Nb 0.901 0.792 0.544
Nb 0.901 0.792 0.877
Al 0.097 0.192 0.114
Al 0.206 0.403 0.052
Al 0.207 0.404 0.387
Al 0.207 0.407 0.554
Al 0.208 0.408 0.887
Al 0.207 0.407 0.721
Al 0.793 0.593 0.779
Al 0.793 0.593 0.613
Al 0.792 0.592 0.446
Al 0.794 0.597 0.281
Al 0.793 0.596 0.946
Al 0.903 0.808 0.219
O 0.065 0.121 0.062
O 0.060 0.118 0.227
O 0.065 0.116 0.560
O 0.065 0.115 0.394
O 0.065 0.116 0.727
O 0.065 0.116 0.893
O 0.138 0.279 0.004
O 0.138 0.278 0.164
O 0.142 0.285 0.505
O 0.141 0.279 0.338
O 0.142 0.285 0.671
O 0.142 0.285 0.838
O 0.262 0.520 0.107
O 0.262 0.529 0.276
O 0.260 0.524 0.440
O 0.260 0.525 0.607
O 0.260 0.525 0.773
O 0.261 0.526 0.940
O 0.360 0.716 0.050
O 0.361 0.714 0.383
O 0.366 0.735 0.218
O 0.362 0.717 0.549
O 0.362 0.717 0.883
O 0.361 0.717 0.716
O 0.638 0.283 0.451
O 0.634 0.265 0.115
O 0.638 0.283 0.784
O 0.640 0.284 0.284
O 0.639 0.283 0.617
O 0.639 0.286 0.951
O 0.738 0.471 0.057
O 0.739 0.474 0.393
O 0.738 0.480 0.226
O 0.740 0.475 0.727
O 0.740 0.475 0.560
O 0.740 0.476 0.893
O 0.862 0.721 0.329
O 0.862 0.722 0.170
O 0.858 0.715 0.829
O 0.858 0.715 0.662
O 0.858 0.715 0.495
O 0.859 0.721 0.996
O 0.935 0.884 0.440
O 0.940 0.882 0.106
O 0.935 0.884 0.773
O 0.935 0.879 0.271
O 0.935 0.884 0.607
O 0.935 0.885 0.940
CELL_PARAMETERS angstrom
-2.396 -2.724 1.203
-0.473 0.256 -6.387
30.431 -23.551 7.969
! - Calculated formation energy: -3.212 eV per atom
! - Space-group type: P-1, No. 2